(1)
A relaxed SrPt2 crystal. Source: Materials Project, functional PBE.

## Properties
* ρ: 12.91 g/cm³
* formation enthalpy at 0 K: -0.8523 eV/atom

Structure (POSCAR):
```
SrPt2
1.0
3.934 -0.013 3.959
-1.363 1.136 5.292
0.086 -4.053 3.836
Pt Sr
4 2
Direct
0.125 0.125 0.125
0.125 0.125 0.625
0.625 0.125 0.125
0.125 0.625 0.125
0.750 0.750 0.750
0.500 0.500 0.500
```


(2)
A relaxed Pr3Si crystal. Source: Materials Project, functional PBE.

## Properties
* ρ: 6.59 g/cm³
* formation enthalpy at 0 K: -0.2128 eV/atom

Structure (POSCAR):
```
Pr3Si
1.0
-3.377 3.564 5.201
-1.305 -6.961 -0.995
3.782 -1.176 3.261
Si Pr
2 6
Direct
0.333 0.667 0.750
0.667 0.333 0.250
0.817 0.183 0.750
0.183 0.817 0.250
0.183 0.365 0.250
0.635 0.817 0.250
0.365 0.183 0.750
0.817 0.635 0.750
```


(3)
A relaxed Li6Zn3P4S16 crystal. Source: Materials Project, functional PBE.

## Properties
* E above lowest polymorph: 3 meV/atom
* ρ: 2.32 g/cm³
* formation enthalpy at 0 K: -1.0023 eV/atom

Structure (POSCAR):
```
Li6Zn3P4S16
1.0
0.000 0.000 -9.336
-0.003 -11.589 -0.011
-23.141 0.000 0.000
S Li Zn P
64 24 12 16
Direct
0.361 0.605 0.926
0.365 0.894 0.574
0.638 0.855 0.696
0.863 0.138 0.198
0.635 0.147 0.055
0.637 0.145 0.555
0.367 0.114 0.677
0.873 0.356 0.052
0.124 0.392 0.681
0.864 0.638 0.198
0.127 0.105 0.571
0.634 0.855 0.947
0.137 0.900 0.180
0.869 0.139 0.696
0.365 0.609 0.176
0.126 0.108 0.819
0.126 0.898 0.925
0.371 0.112 0.179
0.370 0.388 0.073
0.638 0.647 0.805
0.638 0.853 0.443
0.124 0.601 0.820
0.640 0.643 0.553
0.131 0.897 0.681
0.364 0.388 0.323
0.135 0.108 0.071
0.123 0.394 0.928
0.865 0.361 0.302
0.865 0.139 0.448
0.133 0.600 0.572
0.630 0.359 0.947
0.864 0.861 0.302
0.137 0.604 0.319
0.135 0.395 0.180
0.638 0.355 0.194
0.862 0.364 0.551
0.364 0.888 0.323
0.364 0.112 0.427
0.874 0.859 0.804
0.869 0.857 0.055
0.629 0.647 0.055
0.364 0.611 0.427
0.371 0.105 0.924
0.364 0.389 0.575
0.863 0.861 0.551
0.364 0.892 0.073
0.137 0.395 0.431
0.859 0.639 0.949
0.634 0.354 0.444
0.135 0.104 0.319
0.636 0.146 0.306
0.873 0.646 0.698
0.634 0.350 0.695
0.873 0.641 0.446
0.369 0.606 0.679
0.862 0.358 0.802
0.635 0.646 0.306
0.633 0.143 0.804
0.137 0.896 0.431
0.635 0.853 0.194
0.366 0.390 0.821
0.373 0.897 0.821
0.868 0.143 0.948
0.136 0.603 0.068
0.248 0.251 0.752
0.509 0.000 0.747
0.500 0.749 0.876
0.500 0.500 0.250
0.989 0.251 0.875
0.004 0.752 0.374
0.501 0.997 0.001
0.751 0.999 0.879
0.999 0.248 0.127
0.002 0.250 0.375
0.506 0.253 0.875
0.511 0.501 0.751
0.506 0.749 0.624
0.002 0.750 0.126
0.500 0.998 0.499
0.993 0.252 0.622
0.503 0.998 0.251
0.251 0.244 0.999
0.996 0.752 0.622
0.255 0.750 0.752
0.502 0.504 0.000
0.999 0.745 0.878
0.999 0.997 0.002
0.503 0.502 0.500
0.999 0.500 0.250
0.994 0.000 0.750
0.987 0.501 0.750
0.500 0.750 0.375
0.500 0.751 0.124
0.999 0.501 0.499
0.505 0.250 0.623
0.506 0.248 0.126
0.000 0.000 0.250
0.991 0.503 0.000
0.499 0.250 0.375
0.998 0.998 0.500
0.250 0.000 0.375
0.750 0.750 0.250
0.750 0.250 0.499
0.747 0.751 0.751
0.247 0.499 0.124
0.747 0.254 0.999
0.249 0.002 0.624
0.250 0.500 0.375
0.249 0.498 0.628
0.254 0.005 0.126
0.752 0.754 0.003
0.751 0.746 0.499
0.750 0.250 0.250
0.751 0.245 0.749
0.250 0.497 0.874
0.248 0.998 0.874
```


(4)
A relaxed Ba4Si20Au3 crystal. Source: Materials Project, functional PBE.

## Properties
* ρ: 4.87 g/cm³
* formation enthalpy at 0 K: -0.2847 eV/atom

Structure (POSCAR):
```
Ba4Si20Au3
1.0
10.512 0.000 0.000
0.000 10.512 0.000
0.000 0.000 10.512
Si Ba Au
40 8 6
Direct
0.304 0.000 0.117
0.816 0.184 0.816
0.383 0.500 0.196
0.000 0.117 0.304
0.500 0.196 0.383
0.316 0.684 0.684
0.316 0.316 0.684
0.383 0.500 0.804
0.000 0.883 0.696
0.117 0.304 0.000
0.304 0.000 0.883
0.883 0.304 0.000
0.184 0.184 0.816
0.684 0.684 0.684
0.196 0.617 0.500
0.883 0.696 0.000
0.816 0.816 0.184
0.684 0.684 0.316
0.617 0.500 0.804
0.316 0.316 0.316
0.500 0.196 0.617
0.684 0.316 0.316
0.696 0.000 0.117
0.804 0.617 0.500
0.316 0.684 0.316
0.500 0.804 0.617
0.696 0.000 0.883
0.184 0.816 0.816
0.196 0.383 0.500
0.184 0.816 0.184
0.000 0.883 0.304
0.684 0.316 0.684
0.816 0.184 0.184
0.117 0.696 0.000
0.816 0.816 0.816
0.804 0.383 0.500
0.500 0.804 0.383
0.000 0.117 0.696
0.184 0.184 0.184
0.617 0.500 0.196
0.500 0.250 0.000
0.000 0.000 0.000
0.000 0.500 0.250
0.250 0.000 0.500
0.500 0.500 0.500
0.500 0.750 0.000
0.000 0.500 0.750
0.750 0.000 0.500
0.250 0.500 0.000
0.500 0.000 0.250
0.000 0.750 0.500
0.500 0.000 0.750
0.750 0.500 0.000
0.000 0.250 0.500
```


(5)
A relaxed ErIn crystal. Source: Materials Project, functional PBE.

## Properties
* ρ: 9.01 g/cm³
* formation enthalpy at 0 K: -0.4216 eV/atom

Structure (POSCAR):
```
ErIn
1.0
-0.827 3.521 -0.923
-2.403 0.183 2.850
2.734 1.226 2.226
Er In
1 1
Direct
0.000 0.000 0.000
0.500 0.500 0.500
```


(6)
A relaxed ZnCu2Sn2O8 crystal. Source: Materials Project, functional PBE.

## Properties
* ρ: 5.59 g/cm³
* formation enthalpy at 0 K: -1.3756 eV/atom

Structure (POSCAR):
```
ZnCu2Sn2O8
1.0
6.218 0.000 0.016
0.000 8.820 0.000
0.142 0.000 12.086
Cu O Zn Sn
8 32 4 8
Direct
0.626 0.927 0.397
0.374 0.427 0.103
0.247 0.810 0.168
0.753 0.310 0.332
0.753 0.190 0.832
0.626 0.573 0.897
0.374 0.073 0.603
0.247 0.690 0.668
0.085 0.374 0.098
0.196 0.556 0.459
0.414 0.224 0.059
0.528 0.846 0.198
0.203 0.021 0.186
0.279 0.602 0.198
0.586 0.776 0.941
0.035 0.268 0.371
0.965 0.768 0.129
0.528 0.654 0.698
0.203 0.479 0.686
0.196 0.944 0.959
0.965 0.732 0.629
0.347 0.983 0.430
0.279 0.898 0.698
0.721 0.102 0.302
0.653 0.017 0.570
0.797 0.979 0.814
0.347 0.517 0.930
0.653 0.483 0.070
0.085 0.126 0.598
0.721 0.398 0.802
0.035 0.232 0.871
0.472 0.154 0.802
0.414 0.276 0.559
0.586 0.724 0.441
0.804 0.444 0.541
0.472 0.346 0.302
0.915 0.626 0.902
0.804 0.056 0.041
0.797 0.521 0.314
0.915 0.874 0.402
0.898 0.648 0.471
0.102 0.148 0.029
0.898 0.852 0.971
0.102 0.352 0.529
0.436 0.934 0.849
0.092 0.049 0.346
0.908 0.549 0.154
0.564 0.434 0.651
0.908 0.951 0.654
0.436 0.566 0.349
0.092 0.451 0.846
0.564 0.066 0.151
```


Please write out number 4 again, unchanged.
A relaxed Ba4Si20Au3 crystal. Source: Materials Project, functional PBE.

## Properties
* ρ: 4.87 g/cm³
* formation enthalpy at 0 K: -0.2847 eV/atom

Structure (POSCAR):
```
Ba4Si20Au3
1.0
10.512 0.000 0.000
0.000 10.512 0.000
0.000 0.000 10.512
Si Ba Au
40 8 6
Direct
0.304 0.000 0.117
0.816 0.184 0.816
0.383 0.500 0.196
0.000 0.117 0.304
0.500 0.196 0.383
0.316 0.684 0.684
0.316 0.316 0.684
0.383 0.500 0.804
0.000 0.883 0.696
0.117 0.304 0.000
0.304 0.000 0.883
0.883 0.304 0.000
0.184 0.184 0.816
0.684 0.684 0.684
0.196 0.617 0.500
0.883 0.696 0.000
0.816 0.816 0.184
0.684 0.684 0.316
0.617 0.500 0.804
0.316 0.316 0.316
0.500 0.196 0.617
0.684 0.316 0.316
0.696 0.000 0.117
0.804 0.617 0.500
0.316 0.684 0.316
0.500 0.804 0.617
0.696 0.000 0.883
0.184 0.816 0.816
0.196 0.383 0.500
0.184 0.816 0.184
0.000 0.883 0.304
0.684 0.316 0.684
0.816 0.184 0.184
0.117 0.696 0.000
0.816 0.816 0.816
0.804 0.383 0.500
0.500 0.804 0.383
0.000 0.117 0.696
0.184 0.184 0.184
0.617 0.500 0.196
0.500 0.250 0.000
0.000 0.000 0.000
0.000 0.500 0.250
0.250 0.000 0.500
0.500 0.500 0.500
0.500 0.750 0.000
0.000 0.500 0.750
0.750 0.000 0.500
0.250 0.500 0.000
0.500 0.000 0.250
0.000 0.750 0.500
0.500 0.000 0.750
0.750 0.500 0.000
0.000 0.250 0.500
```


Copy entry 3 word for word.
A relaxed Li6Zn3P4S16 crystal. Source: Materials Project, functional PBE.

## Properties
* E above lowest polymorph: 3 meV/atom
* ρ: 2.32 g/cm³
* formation enthalpy at 0 K: -1.0023 eV/atom

Structure (POSCAR):
```
Li6Zn3P4S16
1.0
0.000 0.000 -9.336
-0.003 -11.589 -0.011
-23.141 0.000 0.000
S Li Zn P
64 24 12 16
Direct
0.361 0.605 0.926
0.365 0.894 0.574
0.638 0.855 0.696
0.863 0.138 0.198
0.635 0.147 0.055
0.637 0.145 0.555
0.367 0.114 0.677
0.873 0.356 0.052
0.124 0.392 0.681
0.864 0.638 0.198
0.127 0.105 0.571
0.634 0.855 0.947
0.137 0.900 0.180
0.869 0.139 0.696
0.365 0.609 0.176
0.126 0.108 0.819
0.126 0.898 0.925
0.371 0.112 0.179
0.370 0.388 0.073
0.638 0.647 0.805
0.638 0.853 0.443
0.124 0.601 0.820
0.640 0.643 0.553
0.131 0.897 0.681
0.364 0.388 0.323
0.135 0.108 0.071
0.123 0.394 0.928
0.865 0.361 0.302
0.865 0.139 0.448
0.133 0.600 0.572
0.630 0.359 0.947
0.864 0.861 0.302
0.137 0.604 0.319
0.135 0.395 0.180
0.638 0.355 0.194
0.862 0.364 0.551
0.364 0.888 0.323
0.364 0.112 0.427
0.874 0.859 0.804
0.869 0.857 0.055
0.629 0.647 0.055
0.364 0.611 0.427
0.371 0.105 0.924
0.364 0.389 0.575
0.863 0.861 0.551
0.364 0.892 0.073
0.137 0.395 0.431
0.859 0.639 0.949
0.634 0.354 0.444
0.135 0.104 0.319
0.636 0.146 0.306
0.873 0.646 0.698
0.634 0.350 0.695
0.873 0.641 0.446
0.369 0.606 0.679
0.862 0.358 0.802
0.635 0.646 0.306
0.633 0.143 0.804
0.137 0.896 0.431
0.635 0.853 0.194
0.366 0.390 0.821
0.373 0.897 0.821
0.868 0.143 0.948
0.136 0.603 0.068
0.248 0.251 0.752
0.509 0.000 0.747
0.500 0.749 0.876
0.500 0.500 0.250
0.989 0.251 0.875
0.004 0.752 0.374
0.501 0.997 0.001
0.751 0.999 0.879
0.999 0.248 0.127
0.002 0.250 0.375
0.506 0.253 0.875
0.511 0.501 0.751
0.506 0.749 0.624
0.002 0.750 0.126
0.500 0.998 0.499
0.993 0.252 0.622
0.503 0.998 0.251
0.251 0.244 0.999
0.996 0.752 0.622
0.255 0.750 0.752
0.502 0.504 0.000
0.999 0.745 0.878
0.999 0.997 0.002
0.503 0.502 0.500
0.999 0.500 0.250
0.994 0.000 0.750
0.987 0.501 0.750
0.500 0.750 0.375
0.500 0.751 0.124
0.999 0.501 0.499
0.505 0.250 0.623
0.506 0.248 0.126
0.000 0.000 0.250
0.991 0.503 0.000
0.499 0.250 0.375
0.998 0.998 0.500
0.250 0.000 0.375
0.750 0.750 0.250
0.750 0.250 0.499
0.747 0.751 0.751
0.247 0.499 0.124
0.747 0.254 0.999
0.249 0.002 0.624
0.250 0.500 0.375
0.249 0.498 0.628
0.254 0.005 0.126
0.752 0.754 0.003
0.751 0.746 0.499
0.750 0.250 0.250
0.751 0.245 0.749
0.250 0.497 0.874
0.248 0.998 0.874
```


> Which formula does entry 1 have?

SrPt2


> What is the formula in the sixth record?

ZnCu2Sn2O8